Entry 1:
A geometry-optimized PrNi2B2C structure, computed with PBE-GGA.

* DFT formation energy: -0.433 eV/atom
* density: 7.0 g/cm³

Lattice parameters (Å, degrees): 3.726 3.726 9.958 90.00 90.00 90.00
Space group I4/mmm (No. 139)
Symmetry-distinct sites (fractional):
Pr 0.000 0.000 0.000 [2 per cell]
Ni 0.000 0.500 0.250 [4 per cell]
B 0.000 0.000 0.350 [4 per cell]
C 0.000 0.000 0.500 [2 per cell]


Entry 2:
A geometry-optimized SmNi2B2C structure, computed with PBE-GGA.

* DFT formation energy: -0.481 eV/atom
* size of the total moment: 0.02 Bohr magnetons per cell
* density: 7.5 g/cm³

Lattice parameters (Å, degrees): 3.633 3.633 10.164 90.00 90.00 90.00
Space group I4/mmm (No. 139)
Symmetry-distinct sites (fractional):
Sm 0.000 0.000 0.000 [2 per cell]
Ni 0.000 0.500 0.250 [4 per cell]
B 0.000 0.000 0.353 [4 per cell]
C 0.000 0.000 0.500 [2 per cell]


Entry 3:
A geometry-optimized TbY2Ni6B6C3 structure, computed with PBE-GGA.

* DFT formation energy: -0.507 eV/atom
* size of the total moment: 0.00 Bohr magnetons per cell
* density: 6.7 g/cm³

Lattice parameters (Å, degrees): 3.547 3.547 31.344 90.00 90.00 90.00
Space group I4/mmm (No. 139)
Symmetry-distinct sites (fractional):
Tb 0.000 0.000 0.000 [2 per cell]
Y 0.000 0.000 0.333 [4 per cell]
Ni 0.000 0.500 0.083 [8 per cell]
Ni 0.000 0.500 0.250 [4 per cell]
B 0.000 0.000 0.119 [4 per cell]
B 0.000 0.000 0.214 [4 per cell]
B 0.000 0.000 0.452 [4 per cell]
C 0.000 0.000 0.167 [4 per cell]
C 0.000 0.000 0.500 [2 per cell]


Entry 4:
A geometry-optimized TbYNi4B4C2 structure, computed with PBE-GGA.

* DFT formation energy: -0.507 eV/atom
* size of the total moment: 0.01 Bohr magnetons per cell
* density: 7.0 g/cm³

Lattice parameters (Å, degrees): 3.539 3.539 10.455 90.00 90.00 90.00
Space group P4/mmm (No. 123)
Symmetry-distinct sites (fractional):
Tb 0.000 0.000 0.000 [1 per cell]
Y 0.500 0.500 0.500 [1 per cell]
Ni 0.000 0.500 0.250 [4 per cell]
B 0.000 0.000 0.357 [2 per cell]
B 0.500 0.500 0.143 [2 per cell]
C 0.000 0.000 0.500 [1 per cell]
C 0.500 0.500 0.000 [1 per cell]


Entry 5:
A geometry-optimized Y3Ni4B4C3 structure, computed with PBE-GGA.

* DFT formation energy: -0.509 eV/atom
* size of the total moment: 0.00 Bohr magnetons per cell
* density: 5.9 g/cm³

Lattice parameters (Å, degrees): 3.581 3.581 25.355 90.00 90.00 90.00
Space group I4/mmm (No. 139)
Symmetry-distinct sites (fractional):
Y 0.000 0.000 0.000 [2 per cell]
Y 0.000 0.000 0.299 [4 per cell]
Ni 0.000 0.500 0.101 [8 per cell]
B 0.000 0.000 0.144 [4 per cell]
B 0.000 0.000 0.441 [4 per cell]
C 0.000 0.000 0.203 [4 per cell]
C 0.000 0.000 0.500 [2 per cell]


Entry 6:
A geometry-optimized NpB2C structure, computed with PBE-GGA.

* DFT formation energy: -0.286 eV/atom
* size of the total moment: 28.00 Bohr magnetons per cell
* density: 10.2 g/cm³

Lattice parameters (Å, degrees): 6.5445 6.5445 10.6671 90.00 90.00 120.00
Space group R-3m (No. 166, hexagonal axes)
Symmetry-distinct sites (fractional):
Np 0.0000 0.0000 0.0000 [3 per cell]
Np 0.0000 0.0000 0.3111 [6 per cell]
B 0.0000 0.2715 0.5000 [18 per cell]
C 0.0000 0.5000 0.5000 [9 per cell]


Entry 7:
A geometry-optimized BOs3C10O10 structure, computed with PBE-GGA.

* DFT formation energy: -0.783 eV/atom
* size of the total moment: 2.00 Bohr magnetons per cell
* density: 3.3 g/cm³

Lattice parameters (Å, degrees): 7.690 9.491 13.116 80.62 72.98 73.58
Space group P-1 (No. 2)
Symmetry-distinct sites (fractional):
B 0.181 0.247 0.345 [2 per cell]
Os 0.145 0.256 0.171 [2 per cell]
Os 0.203 0.461 0.264 [2 per cell]
Os 0.436 0.114 0.250 [2 per cell]
C 0.009 0.385 0.690 [2 per cell]
C 0.066 0.202 0.449 [2 per cell]
C 0.099 0.065 0.193 [2 per cell]
C 0.108 0.630 0.788 [2 per cell]
C 0.147 0.279 0.024 [2 per cell]
C 0.291 0.484 0.381 [2 per cell]
C 0.334 0.585 0.153 [2 per cell]
C 0.351 0.908 0.876 [2 per cell]
C 0.440 0.889 0.643 [2 per cell]
C 0.456 0.911 0.287 [2 per cell]
O 0.028 0.835 0.469 [2 per cell]
O 0.052 0.955 0.217 [2 per cell]
O 0.147 0.294 0.933 [2 per cell]
O 0.147 0.295 0.662 [2 per cell]
O 0.214 0.920 0.944 [2 per cell]
O 0.267 0.575 0.752 [2 per cell]
O 0.338 0.495 0.455 [2 per cell]
O 0.369 0.891 0.576 [2 per cell]
O 0.419 0.663 0.094 [2 per cell]
O 0.455 0.787 0.308 [2 per cell]


Entry 8:
A geometry-optimized UBCO5 structure, computed with PBE-GGA.

* DFT formation energy: -1.450 eV/atom
* size of the total moment: 4.00 Bohr magnetons per cell
* density: 3.4 g/cm³

Lattice parameters (Å, degrees): 7.228 8.955 10.189 90.00 90.00 90.00
Space group Pnma (No. 62)
Symmetry-distinct sites (fractional):
U 0.055 0.250 0.137 [4 per cell]
B 0.055 0.250 0.428 [4 per cell]
C 0.052 0.250 0.587 [4 per cell]
O 0.057 0.047 0.160 [8 per cell]
O 0.059 0.250 0.950 [4 per cell]
O 0.112 0.750 0.627 [4 per cell]
O 0.223 0.250 0.376 [4 per cell]


Entry 9:
A geometry-optimized YBCO7 structure, computed with PBE-GGA.

* DFT formation energy: -1.755 eV/atom
* size of the total moment: 16.01 Bohr magnetons per cell
* density: 2.6 g/cm³

Lattice parameters (Å, degrees): 8.941 9.176 13.732 90.00 90.00 90.00
Space group Pbca (No. 61)
Symmetry-distinct sites (fractional):
Y 0.223 0.019 0.012 [8 per cell]
B 0.247 0.000 0.732 [8 per cell]
C 0.022 0.235 0.534 [8 per cell]
O 0.019 0.629 0.467 [8 per cell]
O 0.069 0.630 0.954 [8 per cell]
O 0.147 0.567 0.675 [8 per cell]
O 0.163 0.570 0.162 [8 per cell]
O 0.166 0.214 0.523 [8 per cell]
O 0.182 0.066 0.825 [8 per cell]
O 0.224 0.062 0.332 [8 per cell]


Entry 10:
A geometry-optimized Pr25B14C26 structure, computed with PBE-GGA.

* DFT formation energy: -0.237 eV/atom
* size of the total moment: 0.02 Bohr magnetons per cell
* density: 6.1 g/cm³

Lattice parameters (Å, degrees): 8.600 8.570 30.865 90.00 106.05 90.00
Space group P2_1/c (No. 14)
Symmetry-distinct sites (fractional):
Pr 0.000 0.000 0.000 [2 per cell]
Pr 0.012 0.191 0.803 [4 per cell]
Pr 0.017 0.112 0.114 [4 per cell]
Pr 0.187 0.501 0.886 [4 per cell]
Pr 0.196 0.099 0.503 [4 per cell]
Pr 0.207 0.696 0.306 [4 per cell]
Pr 0.208 0.710 0.111 [4 per cell]
Pr 0.211 0.092 0.710 [4 per cell]
Pr 0.367 0.708 0.479 [4 per cell]
Pr 0.390 0.089 0.893 [4 per cell]
Pr 0.403 0.120 0.305 [4 per cell]
Pr 0.408 0.004 0.199 [4 per cell]
Pr 0.421 0.198 0.614 [4 per cell]
B 0.036 0.115 0.571 [4 per cell]
B 0.096 0.061 0.251 [4 per cell]
B 0.145 0.161 0.934 [4 per cell]
B 0.285 0.022 0.070 [4 per cell]
B 0.320 0.083 0.025 [4 per cell]
B 0.401 0.749 0.250 [4 per cell]
B 0.488 0.575 0.064 [4 per cell]
C 0.075 0.677 0.971 [4 per cell]
C 0.085 0.193 0.885 [4 per cell]
C 0.099 0.007 0.297 [4 per cell]
C 0.104 0.107 0.206 [4 per cell]
C 0.127 0.084 0.617 [4 per cell]
C 0.260 0.110 0.976 [4 per cell]
C 0.286 0.709 0.389 [4 per cell]
C 0.302 0.096 0.803 [4 per cell]
C 0.306 0.707 0.204 [4 per cell]
C 0.321 0.005 0.119 [4 per cell]
C 0.485 0.012 0.477 [4 per cell]
C 0.491 0.108 0.389 [4 per cell]
C 0.492 0.696 0.795 [4 per cell]


Q: Among the records above, which one has the lowest density?
A: YBCO7


Q: Among the records above, which one has the lowest density?
A: YBCO7